DFT (GGA+U) results for CoH10SeO9 after structural relaxation.

a = 6.1714 Å, b = 6.4369 Å, c = 10.9069 Å
α = 75.35°, β = 81.29°, γ = 70.87°
Last column: nearest neighbours and their distance in Å.
Positions (direct):
Co1 0.0000 0.0000 0.0000  6 O 2.02-2.21
Co2 0.0000 0.5000 0.5000  6 O 2.06-2.15
H1 0.0877 0.1628 0.7036  1 O 0.99
H2 0.1018 0.3059 0.0944  1 O 1.00
H3 0.1734 0.6338 0.8903  1 O 0.99
H4 0.2319 0.7809 0.5133  1 O 0.99
H5 0.2512 0.9441 0.3081  1 O 0.98
H6 0.2536 0.5979 0.6467  1 O 0.99
H7 0.2922 0.1181 0.3726  1 O 0.99
H8 0.3341 0.1410 0.6278  1 O 0.99
H9 0.3521 0.1648 0.8594  1 O 0.99
H10 0.4513 0.8932 0.8987  1 O 0.99
H11 0.5487 0.1068 0.1013  1 O 0.99
H12 0.6479 0.8352 0.1406  1 O 0.99
H13 0.6659 0.8590 0.3722  1 O 0.99
H14 0.7078 0.8819 0.6274  1 O 0.99
H15 0.7464 0.4021 0.3533  1 O 0.99
H16 0.7488 0.0559 0.6919  1 O 0.98
H17 0.7681 0.2191 0.4867  1 O 0.99
H18 0.8266 0.3662 0.1097  1 O 0.99
H19 0.8982 0.6941 0.9056  1 O 1.00
H20 0.9123 0.8372 0.2964  1 O 0.99
Se1 0.3481 0.5271 0.2110  4 O 1.67-1.69
Se2 0.6519 0.4729 0.7890  4 O 1.67-1.69
O1 0.0300 0.7419 0.9179  2 H 0.99-1.00
O2 0.1604 0.6728 0.5727  2 H 0.99
O3 0.1636 0.7898 0.1755  1 Se 1.69, 1 H 1.87
O4 0.1672 0.1856 0.6180  2 H 0.99
O5 0.2820 0.4086 0.3623  1 Se 1.68, 1 H 1.83
O6 0.3143 0.0256 0.9036  2 H 0.99
O7 0.3379 0.3694 0.1130  1 Se 1.67, 2 H 1.69-1.78
O8 0.3388 0.9549 0.3729  2 H 0.98-0.99
O9 0.3839 0.4549 0.7983  1 Se 1.68, 3 H 1.80-1.88
O10 0.6161 0.5451 0.2017  1 Se 1.68, 3 H 1.80-1.88
O11 0.6612 0.0451 0.6271  2 H 0.98-0.99
O12 0.6621 0.6306 0.8870  1 Se 1.67, 2 H 1.69-1.78
O13 0.6857 0.9744 0.0964  2 H 0.99
O14 0.7180 0.5914 0.6377  1 Se 1.68, 1 H 1.83
O15 0.8328 0.8144 0.3820  2 H 0.99
O16 0.8364 0.2102 0.8245  1 Se 1.69, 1 H 1.87
O17 0.8396 0.3272 0.4273  2 H 0.99
O18 0.9700 0.2581 0.0821  2 H 0.99-1.00

Calculated values
- E (MP2020) (eV per atom) = -5.498
- crystal system = triclinic
- total energy (eV/atom) = -5.13
- ΔH_f (0 K) (eV per atom) = -1.26

***

DFT (GGA+U) results for Li2TiFeO4 after structural relaxation.

a = 5.9996 Å, b = 6.0001 Å, c = 8.6003 Å
α = 90.00°, β = 90.04°, γ = 90.04°
Last column: nearest neighbours and their distance in Å.
Positions (direct):
Li1 0.0000 0.0000 0.0000  6 O 2.09-2.20
Li2 0.0014 0.4997 0.5002  6 O 2.09-2.21
Li3 0.2467 0.7455 0.7592  6 O 2.18-2.43
Li4 0.2523 0.2444 0.7445  6 O 2.19-2.39
Li5 0.4998 0.4994 0.5000  6 O 2.09-2.20
Li6 0.5016 0.9992 0.0001  6 O 2.09-2.21
Li7 0.7479 0.7536 0.2596  6 O 2.19-2.43
Li8 0.7542 0.2546 0.2448  6 O 2.19-2.39
Ti1 0.2470 0.7261 0.2439  4 O 1.90-2.02
Ti2 0.2543 0.2259 0.2558  4 O 1.90-2.02
Ti3 0.7465 0.7731 0.7439  4 O 1.90-2.02
Ti4 0.7530 0.2733 0.7558  4 O 1.90-2.02
Fe1 0.0002 0.9996 0.5002  6 O 2.06-2.19
Fe2 0.0002 0.4998 0.0001  6 O 2.06-2.19
Fe3 0.5001 0.4993 0.0000  6 O 2.06-2.19
Fe4 0.5000 0.9995 0.5002  6 O 2.06-2.19
O1 0.0177 0.5077 0.2543  1 Ti 1.90, 1 Li 2.12
O2 0.0214 0.0072 0.2455  1 Ti 1.92, 1 Li 2.12
O3 0.2502 0.2665 0.0222  1 Ti 2.02, 2 Fe 2.06, 2 Li 2.20-2.21
O4 0.2500 0.7593 0.0220  1 Ti 1.92, 2 Li 2.09
O5 0.2500 0.7662 0.4770  1 Ti 2.02, 2 Fe 2.06, 2 Li 2.19-2.20
O6 0.2507 0.2591 0.4772  1 Ti 1.91, 2 Li 2.09
O7 0.4797 0.5072 0.2542  1 Ti 1.92, 1 Li 2.12
O8 0.4831 0.0074 0.2456  1 Ti 1.90, 1 Li 2.11
O9 0.5173 0.9917 0.7543  1 Ti 1.90, 1 Li 2.12
O10 0.5206 0.4921 0.7455  1 Ti 1.92, 1 Li 2.12
O11 0.7503 0.2326 0.5222  1 Ti 2.02, 2 Fe 2.06, 2 Li 2.20-2.21
O12 0.7505 0.2401 0.9771  1 Ti 1.91, 2 Li 2.09
O13 0.7499 0.7327 0.9768  1 Ti 2.02, 2 Fe 2.06, 2 Li 2.20
O14 0.7496 0.7399 0.5220  1 Ti 1.92, 2 Li 2.09-2.10
O15 0.9794 0.9919 0.7541  1 Ti 1.92, 1 Li 2.12
O16 0.9824 0.4917 0.7455  1 Ti 1.90, 1 Li 2.11

Calculated values
- E above lowest polymorph (meV per atom) = 2
- E (MP2020) (eV per atom) = -7.565
- crystal system = triclinic
- total energy (eV/atom) = -6.94
- ΔH_f (0 K) (eV per atom) = -2.57

***

DFT (GGA+U) results for Li6V3P8O29 after structural relaxation.

a = 9.8344 Å, b = 9.8344 Å, c = 14.0231 Å
α = 90.85°, β = 90.85°, γ = 59.50°
Last column: nearest neighbours and their distance in Å.
Positions (direct):
Li1 0.0036 0.9964 0.5000  1 O 1.88
Li2 0.0097 0.4468 0.9493  3 O 1.93-2.11
Li3 0.0103 0.5784 0.4531  3 O 1.96-2.03
Li4 0.1138 0.2539 0.3287  3 O 1.95-2.06
Li5 0.2539 0.1138 0.8287  3 O 1.95-2.06
Li6 0.3624 0.3770 0.8886  2 O 2.02-2.04
Li7 0.3770 0.3624 0.3886  2 O 2.02-2.04
Li8 0.4455 0.5843 0.9558  4 O 1.95-2.08
Li9 0.4468 0.0097 0.4493  3 O 1.93-2.11
Li10 0.5784 0.0103 0.9531  3 O 1.96-2.03
Li11 0.5843 0.4455 0.4558  4 O 1.95-2.08
Li12 0.9964 0.0036 0.0000  1 O 1.88
V1 0.3446 0.7757 0.1444  6 O 1.89-1.99
V2 0.3461 0.9058 0.6409  6 O 1.88-2.00
V3 0.7757 0.3446 0.6444  6 O 1.89-1.99
V4 0.7808 0.9081 0.1464  6 O 1.87-2.05
V5 0.9058 0.3461 0.1409  6 O 1.88-2.00
V6 0.9081 0.7808 0.6464  6 O 1.87-2.05
P1 0.0107 0.0143 0.7607  4 O 1.49-1.58
P2 0.0143 0.0107 0.2607  4 O 1.49-1.58
P3 0.0316 0.4314 0.7328  4 O 1.52-1.64
P4 0.0346 0.5697 0.2389  4 O 1.50-1.61
P5 0.1146 0.2500 0.5492  4 O 1.51-1.61
P6 0.1255 0.6481 0.0542  4 O 1.50-1.62
P7 0.2500 0.1146 0.0492  4 O 1.51-1.61
P8 0.2557 0.6484 0.5524  4 O 1.50-1.62
P9 0.4287 0.5735 0.7373  4 O 1.50-1.60
P10 0.4314 0.0316 0.2328  4 O 1.52-1.64
P11 0.5697 0.0346 0.7389  4 O 1.50-1.61
P12 0.5735 0.4287 0.2373  4 O 1.50-1.60
P13 0.6481 0.1255 0.5542  4 O 1.50-1.62
P14 0.6484 0.2557 0.0524  4 O 1.50-1.62
P15 0.6751 0.6812 0.0220  4 O 1.49-1.58
P16 0.6812 0.6751 0.5220  4 O 1.49-1.58
O1 0.0094 0.5956 0.7294  1 P 1.52
O2 0.0118 0.0137 0.3671  1 P 1.49
O3 0.0125 0.4244 0.2251  1 P 1.56
O4 0.0131 0.8654 0.7149  1 P 1.58
O5 0.0137 0.0118 0.8671  1 P 1.49
O6 0.0184 0.1585 0.2223  1 P 1.58
O7 0.0806 0.2600 0.0465  1 P 1.55
O8 0.0859 0.6792 0.5480  1 P 1.54
O9 0.1068 0.3414 0.4617  1 P 1.51
O10 0.1184 0.5532 0.3321  1 P 1.50
O11 0.1221 0.3428 0.8227  1 P 1.53
O12 0.1395 0.5384 0.9743  1 P 1.50
O13 0.1417 0.3323 0.6415  2 P 1.61-1.64
O14 0.1487 0.5583 0.1540  2 P 1.61-1.62
O15 0.1557 0.8604 0.2177  1 P 1.55
O16 0.1585 0.0184 0.7223  1 P 1.58
O17 0.2359 0.9663 0.0625  1 P 1.55
O18 0.2450 0.8116 0.5601  1 P 1.56
O19 0.2600 0.0806 0.5465  1 P 1.55
O20 0.2644 0.6806 0.0508  1 P 1.55
O21 0.3259 0.5577 0.6527  2 P 1.60-1.62
O22 0.3323 0.1417 0.1415  2 P 1.61-1.64
O23 0.3414 0.1068 0.9617  1 P 1.51
O24 0.3428 0.1221 0.3227  1 P 1.53
O25 0.3581 0.5402 0.4746  1 P 1.50
O26 0.3625 0.5641 0.8307  1 P 1.50
O27 0.4244 0.0125 0.7251  1 P 1.56
O28 0.4257 0.7309 0.7217  1 P 1.55
O29 0.4341 0.5982 0.2245  1 P 1.54
O30 0.4341 0.8755 0.2175  1 P 1.53
O31 0.5291 0.6763 0.0601  1 P 1.56
O32 0.5305 0.8290 0.5598  1 P 1.58
O33 0.5384 0.1395 0.4743  1 P 1.50
O34 0.5402 0.3581 0.9746  1 P 1.50
O35 0.5532 0.1184 0.8321  1 P 1.50
O36 0.5583 0.1487 0.6540  2 P 1.61-1.62
O37 0.5577 0.3259 0.1527  2 P 1.60-1.62
O38 0.5641 0.3625 0.3307  1 P 1.50
O39 0.5956 0.0094 0.2294  1 P 1.52
O40 0.5982 0.4341 0.7245  1 P 1.54
O41 0.6742 0.8301 0.0667  1 P 1.58
O42 0.6745 0.6865 0.9156  1 P 1.49
O43 0.6763 0.5291 0.5601  1 P 1.56
O44 0.6792 0.0859 0.0480  1 P 1.54
O45 0.6806 0.2644 0.5508  1 P 1.55
O46 0.6865 0.6745 0.4156  1 P 1.49
O47 0.7242 0.8763 0.7264  1 P 1.54
O48 0.7309 0.4257 0.2217  1 P 1.55
O49 0.8103 0.9698 0.5588  1 P 1.55
O50 0.8116 0.2450 0.0601  1 P 1.56
O51 0.8290 0.5305 0.0598  1 P 1.58
O52 0.8301 0.6742 0.5667  1 P 1.58
O53 0.8604 0.1557 0.7177  1 P 1.55
O54 0.8654 0.0131 0.2149  1 P 1.58
O55 0.8755 0.4341 0.7175  1 P 1.53
O56 0.8763 0.7242 0.2264  1 P 1.54
O57 0.9663 0.2359 0.5625  1 P 1.55
O58 0.9698 0.8103 0.0588  1 P 1.55

Calculated values
- E above lowest polymorph (meV per atom) = 4
- E (MP2020) (eV per atom) = -7.561
- crystal system = monoclinic
- total energy (eV/atom) = -7.02
- ΔH_f (0 K) (eV per atom) = -2.66

***

DFT (GGA+U) results for Mn3Cr2Si3O12 after structural relaxation.

a = 10.3370 Å, b = 10.3370 Å, c = 10.3370 Å
α = 109.47°, β = 109.47°, γ = 109.47°
Last column: nearest neighbours and their distance in Å.
Positions (direct):
Mn1 0.1250 0.2500 0.3750  8 O 2.30-2.44
Mn2 0.1250 0.3750 0.7500  8 O 2.30-2.44
Mn3 0.2500 0.3750 0.1250  8 O 2.30-2.44
Mn4 0.2500 0.8750 0.6250  8 O 2.30-2.44
Mn5 0.3750 0.1250 0.2500  8 O 2.30-2.44
Mn6 0.3750 0.7500 0.1250  8 O 2.30-2.44
Mn7 0.6250 0.2500 0.8750  8 O 2.30-2.44
Mn8 0.6250 0.8750 0.7500  8 O 2.30-2.44
Mn9 0.7500 0.1250 0.3750  8 O 2.30-2.44
Mn10 0.7500 0.6250 0.8750  8 O 2.30-2.44
Mn11 0.8750 0.6250 0.2500  8 O 2.30-2.44
Mn12 0.8750 0.7500 0.6250  8 O 2.30-2.44
Cr1 0.0000 0.0000 0.0000  6 O 2.01
Cr2 0.0000 0.0000 0.5000  6 O 2.01
Cr3 0.0000 0.5000 0.0000  6 O 2.01
Cr4 0.0000 0.5000 0.5000  6 O 2.01
Cr5 0.5000 0.0000 0.0000  6 O 2.01
Cr6 0.5000 0.0000 0.5000  6 O 2.01
Cr7 0.5000 0.5000 0.0000  6 O 2.01
Cr8 0.5000 0.5000 0.5000  6 O 2.01
Si1 0.1250 0.7500 0.8750  4 O 1.66
Si2 0.1250 0.8750 0.2500  4 O 1.66
Si3 0.2500 0.1250 0.8750  4 O 1.66
Si4 0.2500 0.6250 0.3750  4 O 1.66
Si5 0.3750 0.2500 0.6250  4 O 1.66
Si6 0.3750 0.6250 0.7500  4 O 1.66
Si7 0.6250 0.3750 0.2500  4 O 1.66
Si8 0.6250 0.7500 0.3750  4 O 1.66
Si9 0.7500 0.3750 0.6250  4 O 1.66
Si10 0.7500 0.8750 0.1250  4 O 1.66
Si11 0.8750 0.1250 0.7500  4 O 1.66
Si12 0.8750 0.2500 0.1250  4 O 1.66
O1 0.0151 0.2073 0.1205  1 Si 1.66
O2 0.0151 0.3078 0.8946  1 Si 1.66
O3 0.0867 0.7073 0.6922  1 Si 1.66
O4 0.0867 0.8795 0.3946  1 Si 1.66
O5 0.1054 0.6205 0.4133  1 Si 1.66
O6 0.1054 0.9849 0.6922  1 Si 1.66
O7 0.1205 0.0151 0.2073  1 Si 1.66
O8 0.1205 0.6054 0.9133  1 Si 1.66
O9 0.1922 0.2073 0.5867  1 Si 1.66
O10 0.1922 0.4849 0.6054  1 Si 1.66
O11 0.2073 0.1205 0.0151  1 Si 1.66
O12 0.2073 0.5867 0.1922  1 Si 1.66
O13 0.2927 0.3078 0.9133  1 Si 1.66
O14 0.2927 0.4849 0.3795  1 Si 1.66
O15 0.3078 0.8946 0.0151  1 Si 1.66
O16 0.3078 0.9133 0.2927  1 Si 1.66
O17 0.3795 0.2927 0.4849  1 Si 1.66
O18 0.3795 0.5867 0.8946  1 Si 1.66
O19 0.3946 0.0867 0.8795  1 Si 1.66
O20 0.3946 0.8078 0.5151  1 Si 1.66
O21 0.4133 0.1054 0.6205  1 Si 1.66
O22 0.4133 0.8078 0.7927  1 Si 1.66
O23 0.4849 0.3795 0.2927  1 Si 1.66
O24 0.4849 0.6054 0.1922  1 Si 1.66
O25 0.5151 0.3946 0.8078  1 Si 1.66
O26 0.5151 0.6205 0.7073  1 Si 1.66
O27 0.5867 0.1922 0.2073  1 Si 1.66
O28 0.5867 0.8946 0.3795  1 Si 1.66
O29 0.6054 0.1922 0.4849  1 Si 1.66
O30 0.6054 0.9133 0.1205  1 Si 1.66
O31 0.6205 0.4133 0.1054  1 Si 1.66
O32 0.6205 0.7073 0.5151  1 Si 1.66
O33 0.6922 0.0867 0.7073  1 Si 1.66
O34 0.6922 0.1054 0.9849  1 Si 1.66
O35 0.7073 0.5151 0.6205  1 Si 1.66
O36 0.7073 0.6922 0.0867  1 Si 1.66
O37 0.7927 0.4133 0.8078  1 Si 1.66
O38 0.7927 0.8795 0.9849  1 Si 1.66
O39 0.8078 0.5151 0.3946  1 Si 1.66
O40 0.8078 0.7927 0.4133  1 Si 1.66
O41 0.8795 0.3946 0.0867  1 Si 1.66
O42 0.8795 0.9849 0.7927  1 Si 1.66
O43 0.8946 0.0151 0.3078  1 Si 1.66
O44 0.8946 0.3795 0.5867  1 Si 1.66
O45 0.9133 0.1205 0.6054  1 Si 1.66
O46 0.9133 0.2927 0.3078  1 Si 1.66
O47 0.9849 0.6922 0.1054  1 Si 1.66
O48 0.9849 0.7927 0.8795  1 Si 1.66

Calculated values
- E (MP2020) (eV per atom) = -8.801
- crystal system = cubic
- total energy (eV/atom) = -7.94
- ΔH_f (0 K) (eV per atom) = -2.68